The following is a DFT calculation (PBE-GGA) of a relaxed KMgSb crystal.

extended XYZ file:
```
6
Lattice="4.845 0.000 0.000 0.000 4.845 0.000 0.000 0.000 8.356" Properties=species:S:1:pos:R:3 pbc="T T T"
K 1.211 1.211 1.248
K 3.634 3.634 7.108
Mg 1.211 3.634 4.178
Mg 3.634 1.211 4.178
Sb 1.211 1.211 5.856
Sb 3.634 3.634 2.500
```

Computed properties:
V = 32.7 Å³/atom
SG = No. 129
formation energy from the elements = -188.1 kJ/mol of formula units